A) # LiMg5

A relaxed LiMg5 crystal (PBE-GGA, Materials Project).

Summary:
SG = No. 38
Volume = 134.2 Å³/cell

Lattice parameters (Å, degrees): 8.4165 8.4165 5.1247 90.00 90.00 158.31
Fractional coordinates of all 6 atoms:
Li1 0.7777 0.2223 0.5000
Mg1 0.0000 0.0000 0.0000
Mg2 0.3324 0.6676 0.0000
Mg3 0.6677 0.3323 0.0000
Mg4 0.1122 0.8878 0.5000
Mg5 0.4433 0.5567 0.5000

B) # LiMg5

A relaxed LiMg5 crystal (PBE-GGA, Materials Project).

Summary:
SG = No. 187
Volume = 133.5 Å³/cell

Lattice parameters (Å, degrees): 3.1697 3.1697 15.3441 90.00 90.00 120.00
Fractional coordinates of all 6 atoms:
Li1 0.6667 0.3333 0.0000
Mg1 0.0000 0.0000 0.8360
Mg2 0.6667 0.3333 0.6670
Mg3 0.0000 0.0000 0.5000
Mg4 0.6667 0.3333 0.3330
Mg5 0.0000 0.0000 0.1640

Which structure loses on stability? B) does.

A) # Pr3Ho

A relaxed Pr3Ho crystal (PBE-GGA, Materials Project).

Summary:
SG = No. 139
Volume = 141.0 Å³/cell

Lattice parameters (Å, degrees): 6.3893 6.3893 6.3893 132.06 132.06 70.14
Fractional coordinates of all 4 atoms:
Pr1 0.7500 0.2500 0.5000
Pr2 0.2500 0.7500 0.5000
Pr3 0.5000 0.5000 0.0000
Ho1 0.0000 0.0000 0.0000

B) # Pr3Ho

A relaxed Pr3Ho crystal (PBE-GGA, Materials Project).

Summary:
SG = No. 194
Volume = 283.1 Å³/cell

Lattice parameters (Å, degrees): 7.3658 7.3658 6.0253 90.00 90.00 120.00
Fractional coordinates of all 8 atoms:
Pr1 0.1681 0.3361 0.2500
Pr2 0.6639 0.8319 0.2500
Pr3 0.1681 0.8319 0.2500
Pr4 0.8319 0.6639 0.7500
Pr5 0.3361 0.1681 0.7500
Pr6 0.8319 0.1681 0.7500
Ho1 0.3333 0.6667 0.7500
Ho2 0.6667 0.3333 0.2500

Which structure loses on stability? B) does.

A) # LiBH4

A relaxed LiBH4 crystal (PBE-GGA, Materials Project).

Summary:
SG = No. 62
Volume = 214.0 Å³/cell

Lattice parameters (Å, degrees): 4.4106 6.7379 7.2004 90.00 90.00 90.00
Fractional coordinates of all 24 atoms:
Li1 0.2500 0.3910 0.6574
Li2 0.2500 0.1090 0.1574
Li3 0.7500 0.6090 0.3426
Li4 0.7500 0.8910 0.8426
B1 0.2500 0.0754 0.8090
B2 0.2500 0.4246 0.3090
B3 0.7500 0.9246 0.1910
B4 0.7500 0.5754 0.6910
H1 0.2500 0.5694 0.4116
H2 0.2500 0.9306 0.9116
H3 0.7500 0.4306 0.5884
H4 0.7500 0.0694 0.0884
H5 0.2500 0.2284 0.9020
H6 0.2500 0.2716 0.4020
H7 0.7500 0.7716 0.0980
H8 0.7500 0.7284 0.5980
H9 0.0264 0.0739 0.7082
H10 0.4736 0.4261 0.2082
H11 0.5264 0.9261 0.2918
H12 0.9736 0.5739 0.7918
H13 0.9736 0.9261 0.2918
H14 0.5264 0.5739 0.7918
H15 0.4736 0.0739 0.7082
H16 0.0264 0.4261 0.2082

B) # LiBH4

A relaxed LiBH4 crystal (PBE-GGA, Materials Project).

Summary:
SG = No. 13
Volume = 895.4 Å³/cell

Lattice parameters (Å, degrees): 7.4848 8.6858 13.8129 85.67 90.00 90.00
Fractional coordinates of all 24 atoms:
Li1 0.5143 0.7436 0.8425
Li2 0.5143 0.7564 0.1575
Li3 0.4857 0.2564 0.1575
Li4 0.4857 0.2436 0.8425
B1 0.4321 0.5049 0.1541
B2 0.4321 0.9951 0.8459
B3 0.5679 0.4951 0.8459
B4 0.5679 0.0049 0.1541
H1 0.3536 0.4625 0.0841
H2 0.3536 0.0375 0.9159
H3 0.6464 0.5375 0.9159
H4 0.6464 0.9625 0.0841
H5 0.5877 0.5476 0.1418
H6 0.5877 0.9524 0.8582
H7 0.4123 0.4524 0.8582
H8 0.4123 0.0476 0.1418
H9 0.4745 0.2113 0.3439
H10 0.4745 0.2887 0.6561
H11 0.5255 0.7887 0.6561
H12 0.5255 0.7113 0.3439
H13 0.3919 0.4519 0.2351
H14 0.3919 0.0481 0.7649
H15 0.6081 0.5481 0.7649
H16 0.6081 0.9519 0.2351

Which structure loses on stability? B) does.